This record from the Materials Project database describes CeAgPb after structural relaxation. The functional is r2SCAN.

```
data_CeAgPb
_cell_length_a 4.8841
_cell_length_b 4.8841
_cell_length_c 7.7832
_cell_angle_alpha 90.00
_cell_angle_beta 90.00
_cell_angle_gamma 120.00
_symmetry_space_group_name_H-M 'P 63 m c'
_symmetry_Int_Tables_number 186
_symmetry_space_group_name_Hall 'P 6c -2c'
loop_
_atom_site_label
_atom_site_type_symbol
_atom_site_fract_x
_atom_site_fract_y
_atom_site_fract_z
Ce1 Ce 0.0000 0.0000 0.0000
Ag1 Ag 0.3333 0.6667 0.3050
Pb1 Pb 0.3333 0.6667 0.7172
```

## Properties
calculated volume = 26.798 Å³ per atom
M_tot = 2.063 μB per cell
DFT total energy = -36.703 eV per atom